5
Lattice="3.246 0.000 0.000 -1.623 2.811 0.000 0.000 0.000 7.117" Properties=species:S:1:pos:R:3 comment="Fe2PbN2 | the Materials Project database | PBE-GGA | optimized geometry" delta_e_f_ev_per_atom=0.0866 m_tot_mub_per_atom=0.46 pbc="T T T"
Fe 0.000 1.874 6.287
Fe 1.623 0.937 0.830
Pb 0.000 0.000 3.558
N 0.000 1.874 1.106
N 1.623 0.937 6.011